DFT (r²SCAN) results for a relaxed ErB2Ru3 crystal.

Lattice parameters (Å, degrees): 5.457 5.457 3.016 90.00 90.00 120.00
Element x y z (fractional)
B 0.333 0.667 0.000
Ru 0.500 0.500 0.500
B 0.667 0.333 0.000
Ru 0.000 0.500 0.500
Er 0.000 0.000 0.000
Ru 0.500 0.000 0.500

Crystal system = hexagonal
DFT formation energy = -3.13 eV per formula unit